# 1
Entry from Materials Project: Li4MnFe3B4O12 after structural relaxation (PBE with a Hubbard U).

Computed properties:
Its formation energy is -2.375 eV per atom. The calculation puts the final energy at -0.5164 Ry/atom. The size of the total moment is 17.00 μB/f.u. Its crystal system is triclinic. The value obtained for the volume is 494 Å³ per cell.

a = 5.237 Å, b = 9.060 Å, c = 10.416 Å
α = 89.12°, β = 89.14°, γ = 89.94°
Space group P1 (No. 1)
Inequivalent atoms, fractional coordinates:
Li 0.000 0.000 0.000 x1
Li 0.018 0.994 0.500 x1
Li 0.330 0.339 0.251 x1
Li 0.364 0.328 0.753 x1
Li 0.496 0.498 0.000 x1
Li 0.516 0.492 0.500 x1
Li 0.829 0.841 0.252 x1
Li 0.864 0.831 0.752 x1
Mn 0.009 0.665 0.466 x1
Mn 0.357 0.667 0.719 x1
Fe 0.001 0.334 0.967 x1
Fe 0.335 0.008 0.217 x1
Fe 0.514 0.167 0.469 x1
Fe 0.517 0.835 0.971 x1
Fe 0.835 0.506 0.216 x1
Fe 0.861 0.166 0.716 x1
B 0.005 0.331 0.458 x1
B 0.015 0.665 0.961 x1
B 0.341 0.668 0.209 x1
B 0.354 0.000 0.711 x1
B 0.507 0.836 0.459 x1
B 0.512 0.165 0.960 x1
B 0.841 0.168 0.210 x1
B 0.850 0.496 0.710 x1
O 0.085 0.678 0.247 x1
O 0.090 0.988 0.698 x1
O 0.268 0.339 0.445 x1
O 0.275 0.654 0.933 x1
O 0.354 0.958 0.429 x1
O 0.373 0.040 0.001 x1
O 0.392 0.300 0.946 x1
O 0.396 0.703 0.501 x1
O 0.456 0.530 0.196 x1
O 0.472 0.134 0.680 x1
O 0.483 0.795 0.181 x1
O 0.498 0.880 0.752 x1
O 0.586 0.177 0.249 x1
O 0.589 0.482 0.695 x1
O 0.770 0.847 0.445 x1
O 0.774 0.152 0.931 x1
O 0.855 0.454 0.428 x1
O 0.875 0.540 0.000 x1
O 0.890 0.200 0.501 x1
O 0.893 0.799 0.947 x1
O 0.956 0.031 0.196 x1
O 0.966 0.632 0.681 x1
O 0.982 0.295 0.181 x1
O 0.997 0.375 0.749 x1

---

# 2
Entry from Materials Project: Li4MnFe3B4O12 after structural relaxation (PBE with a Hubbard U).

Computed properties:
Its formation energy is -2.373 eV per atom. The calculation puts the final energy at -0.5163 Ry/atom. The size of the total moment is 17.00 μB/f.u. Its crystal system is triclinic. The value obtained for the volume is 502 Å³ per cell.

a = 5.251 Å, b = 5.988 Å, c = 16.146 Å
α = 81.42°, β = 89.44°, γ = 88.82°
Space group P-1 (No. 2)
Inequivalent atoms, fractional coordinates:
Li 0.094 0.191 0.014 x2
Li 0.096 0.692 0.514 x2
Li 0.404 0.561 0.733 x2
Li 0.405 0.055 0.239 x2
Mn 0.419 0.653 0.914 x2
Fe 0.085 0.099 0.834 x2
Fe 0.087 0.596 0.333 x2
Fe 0.412 0.151 0.417 x2
B 0.079 0.916 0.671 x2
B 0.081 0.410 0.173 x2
B 0.420 0.337 0.578 x2
B 0.422 0.838 0.080 x2
O 0.035 0.702 0.886 x2
O 0.045 0.197 0.387 x2
O 0.067 0.954 0.280 x2
O 0.069 0.459 0.779 x2
O 0.161 0.363 0.567 x2
O 0.164 0.863 0.068 x2
O 0.338 0.889 0.681 x2
O 0.340 0.387 0.187 x2
O 0.430 0.292 0.969 x2
O 0.434 0.794 0.471 x2
O 0.454 0.051 0.862 x2
O 0.455 0.552 0.364 x2

---

# 3
Entry from Materials Project: Li6MnFe5B6O18 after structural relaxation (PBE with a Hubbard U).

Computed properties:
Its formation energy is -2.357 eV per atom. The calculation puts the final energy at -0.5137 Ry/atom. The size of the total moment is 25.00 μB/f.u. Its crystal system is monoclinic. The value obtained for the volume is 741 Å³ per cell.

a = 8.244 Å, b = 12.566 Å, c = 8.253 Å
α = 90.00°, β = 119.96°, γ = 90.00°
Space group Pm (No. 6)
Inequivalent atoms, fractional coordinates:
Li 0.000 0.000 0.000 x1
Li 0.000 0.249 0.999 x2
Li 0.000 0.500 0.999 x1
Li 0.413 0.000 0.682 x1
Li 0.414 0.250 0.682 x2
Li 0.414 0.500 0.682 x1
Li 0.682 0.000 0.269 x1
Li 0.682 0.250 0.269 x2
Li 0.682 0.500 0.269 x1
Mn 0.326 0.373 0.972 x2
Fe 0.058 0.125 0.351 x2
Fe 0.058 0.375 0.350 x2
Fe 0.330 0.124 0.976 x2
Fe 0.706 0.125 0.623 x2
Fe 0.706 0.375 0.624 x2
B 0.030 0.500 0.647 x1
B 0.031 0.249 0.648 x2
B 0.032 0.000 0.650 x1
B 0.365 0.000 0.317 x1
B 0.365 0.248 0.318 x2
B 0.365 0.500 0.319 x1
B 0.698 0.125 0.983 x2
B 0.701 0.375 0.985 x2
O 0.224 0.247 0.763 x2
O 0.224 0.500 0.761 x1
O 0.226 0.000 0.765 x1
O 0.257 0.000 0.403 x1
O 0.257 0.250 0.404 x2
O 0.257 0.500 0.405 x1
O 0.279 0.000 0.123 x1
O 0.279 0.246 0.124 x2
O 0.279 0.500 0.125 x1
O 0.559 0.250 0.426 x2
O 0.560 0.000 0.426 x1
O 0.560 0.500 0.427 x1
O 0.589 0.125 0.789 x2
O 0.590 0.375 0.791 x2
O 0.613 0.124 0.092 x2
O 0.619 0.375 0.097 x2
O 0.893 0.125 0.069 x2
O 0.895 0.375 0.067 x2
O 0.916 0.000 0.729 x1
O 0.916 0.250 0.728 x2
O 0.916 0.500 0.728 x1
O 0.951 0.500 0.454 x1
O 0.952 0.250 0.455 x2
O 0.953 0.000 0.457 x1